KNa2P3O9 PBE optimized geometry; ΔH_f (0 K) = -39.805 eV/f.u.
1.0
-6.773 -0.089 1.038
0.720 1.293 -6.903
3.055 -8.912 -1.851
K Na P O
2 4 6 18
Cartesian
-4.560 -0.320 -6.061
1.563 -7.388 -1.654
-0.152 -4.194 -2.645
-2.357 -6.931 -3.644
-0.640 -0.777 -4.072
-2.845 -3.513 -5.070
0.884 -6.486 -4.943
-3.516 -3.969 -1.777
-1.190 -5.892 -6.886
-1.807 -1.815 -0.830
-3.882 -1.221 -2.773
0.519 -3.739 -5.938
0.004 -6.376 -3.730
-3.002 -1.331 -3.985
-0.017 -6.859 -6.265
-2.981 -0.848 -1.450
1.414 -4.995 -5.374
-4.411 -2.712 -2.342
-0.329 -4.518 -7.123
-2.669 -3.190 -0.592
2.071 -7.395 -4.934
-5.068 -0.313 -2.781
-2.271 -5.680 -5.865
-0.726 -2.028 -1.850
-2.575 -4.465 -2.834
-0.422 -3.242 -4.881
-4.477 -4.883 -1.099
1.480 -2.824 -6.617
-0.731 0.040 -6.393
-2.266 -7.747 -1.322


Ba2PrTiO6 PBE optimized geometry; ΔH_f (0 K) = -32.195 eV/f.u.
1.0
8.642 0.000 0.000
0.000 8.642 0.000
0.000 0.000 8.642
Ba Pr Ti O
8 4 4 24
Cartesian
4.321 4.321 4.321
0.000 0.000 0.000
0.000 0.000 4.321
0.000 4.321 0.000
4.321 0.000 0.000
4.321 4.321 0.000
4.321 0.000 4.321
0.000 4.321 4.321
6.481 6.481 6.481
6.481 2.160 2.160
2.160 6.481 2.160
2.160 2.160 6.481
2.160 2.160 2.160
2.160 6.481 6.481
6.481 2.160 6.481
6.481 6.481 2.160
2.063 2.263 4.139
2.063 6.379 4.503
6.579 2.263 4.503
6.579 6.379 4.139
2.263 4.139 2.063
6.379 4.503 2.063
2.263 4.503 6.579
6.379 4.139 6.579
4.139 2.063 2.263
4.503 2.063 6.379
4.503 6.579 2.263
4.139 6.579 6.379
2.258 2.058 0.182
2.258 6.584 8.460
6.384 2.058 8.460
6.384 6.584 0.182
2.058 0.182 2.258
6.584 8.460 2.258
2.058 8.460 6.384
6.584 0.182 6.384
0.182 2.258 2.058
8.460 2.258 6.584
8.460 6.384 2.058
0.182 6.384 6.584


Ba4MgTl8O16 PBE optimized geometry; ΔH_f (0 K) = -48.997 eV/f.u.; energy above the lowest structure with this stoichiometry = 0 meV per atom
1.0
-4.765 -4.326 8.421
1.800 -11.478 -4.748
3.156 -0.201 1.683
Ba Mg Tl O
4 1 8 16
Cartesian
1.796 -4.964 1.757
1.123 -11.033 -1.517
-0.911 -5.326 6.791
-1.634 -10.678 3.696
1.325 -10.378 1.994
3.161 -7.507 -1.106
2.224 -1.636 1.353
0.200 -8.032 0.572
-1.055 -3.187 3.505
1.162 -13.288 1.952
0.361 -7.172 4.186
-2.005 -14.288 3.960
-2.909 -8.571 6.339
2.013 -8.383 -2.871
3.674 -11.084 -2.497
1.046 -6.248 -0.802
0.060 -2.727 1.469
2.205 -9.392 0.462
2.218 -13.093 -0.005
-0.499 -6.463 2.070
0.457 -4.706 4.300
-0.318 -11.247 1.159
0.616 -9.281 3.454
-2.163 -3.183 5.583
-1.974 -7.071 4.763
0.124 -13.171 3.913
-0.925 -9.917 6.269
-3.472 -4.898 7.834
-1.817 -7.661 8.212


ReNiN2 PBE optimized geometry; ΔH_f (0 K) = 0.226 eV/f.u.
1.0
-0.502 -2.253 -1.551
2.044 1.862 -0.874
7.553 -5.613 5.710
Re Ni N
2 2 4
Cartesian
2.930 -1.999 -0.536
6.166 -4.004 3.822
0.000 0.000 0.000
3.777 -2.806 2.855
6.451 -2.877 2.093
2.645 -3.126 1.193
0.894 -1.825 -0.131
8.203 -4.178 3.417


Ba2TbCeO6 PBE optimized geometry; ΔH_f (0 K) = -33.592 eV/f.u.; energy above the lowest structure with this stoichiometry = 0 meV per atom
1.0
-3.126 -7.611 -3.307
3.231 -4.372 7.007
-7.644 1.265 4.314
Ba Tb Ce O
8 4 4 24
Cartesian
-3.770 -5.359 4.006
0.000 0.000 0.000
-3.822 0.632 2.157
1.615 -2.186 3.503
-1.563 -3.806 -1.654
0.052 -5.991 1.850
-5.385 -3.173 0.503
-2.207 -1.553 5.660
-1.885 -2.679 2.003
-4.092 -4.233 7.663
-7.270 -5.853 2.506
-1.833 -8.671 3.853
-5.655 -8.038 6.010
-3.448 -6.485 0.349
-0.270 -4.865 5.507
-5.707 -2.047 4.160
-3.641 -2.293 3.377
-2.177 -4.233 6.458
-5.328 -6.490 1.535
-3.933 -8.419 4.656
-0.965 -4.033 3.566
-2.364 -7.382 2.071
-5.190 -3.316 5.910
-6.559 -6.705 4.478
-2.975 -4.452 1.115
-6.344 -3.858 3.039
-1.181 -6.825 4.989
-4.579 -6.300 6.883
-7.773 -1.801 4.944
1.637 -5.497 4.555
-1.567 -6.480 -0.836
-7.376 -7.657 7.363
0.426 -5.698 7.447
-4.532 -5.588 -1.372
-6.223 -0.778 2.410
-4.750 -9.372 7.541
-3.921 -8.518 -0.416
-5.070 -0.236 5.281
0.642 -2.905 6.024
-6.730 -9.777 5.136


K14Tl21Cd9 PBE optimized geometry; ΔH_f (0 K) = -5.224 eV/f.u.
1.0
5.108 -8.848 0.000
5.108 8.848 0.000
0.000 0.000 17.577
K Tl Cd
14 21 9
Cartesian
3.824 -6.623 3.130
1.981 3.431 12.019
2.569 0.000 14.446
6.254 0.000 5.558
1.981 -3.431 12.019
6.254 0.000 12.019
3.824 -6.623 14.446
1.981 -3.431 5.558
3.824 6.623 3.130
1.981 3.431 5.558
5.108 2.949 8.788
3.824 6.623 14.446
5.108 -2.949 8.788
2.569 0.000 3.130
5.108 2.949 14.687
6.124 0.000 1.912
2.046 3.545 15.664
7.958 0.000 8.788
0.000 0.000 11.469
3.010 0.000 7.136
3.010 0.000 10.440
1.129 -1.956 8.788
3.603 -6.241 10.440
1.129 1.956 8.788
5.108 2.949 2.890
2.046 3.545 1.912
2.046 -3.545 15.664
3.603 6.241 7.136
0.000 0.000 6.108
6.124 0.000 15.664
3.603 -6.241 7.136
5.108 -2.949 2.890
2.046 -3.545 1.912
5.108 -2.949 14.687
3.603 6.241 10.440
0.842 -1.458 0.000
3.938 1.526 0.000
0.842 1.458 0.000
4.461 -4.674 0.000
8.533 0.000 0.000
6.926 -2.647 0.000
3.938 -1.526 0.000
6.926 2.647 0.000
4.461 4.674 0.000


RbMo3S3 PBE optimized geometry; ΔH_f (0 K) = -7.144 eV/f.u.
1.0
-1.878 5.697 7.021
-6.765 -4.965 -3.854
0.779 -3.305 2.890
Rb Mo S
2 6 6
Cartesian
-4.552 -3.890 1.939
-3.313 1.317 4.119
-7.181 0.634 4.381
-1.593 3.869 6.574
-6.272 -6.442 -0.517
-0.683 -3.207 1.676
-1.164 -0.553 1.401
-6.701 -2.020 4.656
-5.681 -0.391 6.244
-2.184 -2.182 -0.187
-6.727 -3.916 -0.945
-5.914 -0.614 2.612
-1.950 -1.959 3.445
-1.138 1.343 7.002


Sm2Ni7 PBE optimized geometry; ΔH_f (0 K) = -3.057 eV/f.u.
1.0
4.459 -1.986 -0.851
0.446 -3.866 -3.067
3.244 5.692 -10.703
Sm Ni
4 14
Cartesian
5.150 -4.688 -5.348
3.000 4.530 -9.274
5.617 -2.472 -8.073
2.533 2.313 -6.549
4.075 -0.079 -7.311
6.249 0.530 -11.765
1.901 -0.689 -2.857
3.534 -2.647 -4.154
4.615 2.489 -10.469
0.223 -1.933 -1.534
2.230 -0.993 -0.426
2.453 -2.926 -1.959
2.981 -0.422 -5.041
5.208 -1.413 -5.466
3.204 -2.351 -6.572
5.168 0.263 -9.581
2.942 1.254 -9.156
4.945 2.193 -8.050


MgAg4 PBE optimized geometry; ΔH_f (0 K) = -0.204 eV/f.u.
1.0
11.680 -1.508 0.000
11.680 1.508 0.000
11.485 0.000 2.604
Mg Ag
1 4
Cartesian
0.000 0.000 0.000
20.930 0.000 1.564
6.966 0.000 0.521
27.879 0.000 2.083
13.915 0.000 1.040


Be2Ru PBE optimized geometry; ΔH_f (0 K) = -0.996 eV/f.u.
1.0
2.181 -3.778 0.000
2.181 3.778 0.000
0.000 0.000 7.058
Be Ru
8 4
Cartesian
0.000 0.000 3.529
0.000 0.000 0.000
2.181 -2.501 1.764
3.256 -0.639 1.764
1.107 -0.639 1.764
2.181 2.501 5.293
1.107 0.639 5.293
3.256 0.639 5.293
2.181 1.259 3.106
2.181 -1.259 3.952
2.181 -1.259 6.635
2.181 1.259 0.423


InBi PBE optimized geometry; ΔH_f (0 K) = 0.095 eV/f.u.
1.0
-2.429 -2.429 0.000
-2.429 2.429 0.000
0.000 0.000 -5.175
In Bi
1 1
Cartesian
-2.429 0.000 -2.588
0.000 0.000 0.000


KScS2O8 PBE optimized geometry; ΔH_f (0 K) = -30.132 eV/f.u.; energy above the lowest structure with this stoichiometry = 0 meV per atom
1.0
4.259 2.684 -0.310
4.259 -2.684 -0.310
0.070 0.000 -8.182
K Sc S O
1 1 2 8
Cartesian
0.035 0.000 -4.091
0.000 0.000 0.000
3.203 0.000 -6.755
5.385 0.000 -2.047
2.715 0.000 -5.380
5.873 0.000 -3.422
4.057 1.213 -6.998
4.532 -1.213 -1.804
4.532 1.213 -1.804
4.057 -1.213 -6.998
2.111 0.000 -7.767
6.478 0.000 -1.035


KTe2O6 PBE optimized geometry; ΔH_f (0 K) = -14.550 eV/f.u.
1.0
-0.536 -1.393 7.143
5.449 -3.470 3.393
6.386 8.990 5.211
K Te O
4 8 24
Cartesian
4.750 0.011 7.575
6.549 4.117 8.171
5.682 -2.810 10.624
5.618 6.938 5.122
3.193 4.495 2.605
2.944 1.033 4.126
2.457 -2.431 5.268
8.355 3.095 11.620
2.925 3.799 6.177
2.724 -1.735 1.696
-0.268 -0.696 3.571
5.918 2.760 4.302
9.055 1.009 13.892
4.844 3.766 5.644
1.063 -0.779 2.128
10.236 4.906 13.618
4.149 1.715 9.985
8.105 5.834 6.145
3.578 3.653 8.000
4.950 1.093 4.609
7.150 2.413 5.762
9.246 6.180 8.606
8.573 2.262 9.744
6.141 -2.729 7.755
4.311 -2.837 5.726
8.221 4.710 10.511
5.159 6.857 7.992
6.988 6.964 10.020
6.456 0.361 10.102
6.349 3.034 11.137
3.078 -0.582 5.235
3.194 -1.706 9.601
2.054 -2.053 7.141
2.726 1.865 6.003
2.245 3.119 1.854
7.721 0.474 7.747


K2PbO2 PBE optimized geometry; ΔH_f (0 K) = -7.723 eV/f.u.
1.0
-0.291 -7.146 2.103
-6.531 3.974 -0.451
0.087 0.652 -10.143
K Pb O
8 4 8
Cartesian
-4.742 1.531 -4.960
-0.426 0.255 -8.269
-3.215 -4.771 0.076
-6.309 -2.775 -0.222
-3.798 -1.489 -7.710
-3.520 2.250 -8.568
-2.937 -1.032 -0.782
-1.993 -4.051 -3.532
-0.482 -3.479 -7.572
-1.905 -0.657 -4.827
-4.830 -1.863 -3.665
-6.253 0.959 -0.920
-1.379 -2.111 -9.122
-4.131 -3.190 -2.119
-1.607 -5.226 -8.083
-5.356 -0.409 0.631
-5.128 2.706 -0.408
-2.605 0.670 -6.373
-3.288 -2.418 -5.225
-3.447 -0.102 -3.267


Fe3CuAs2 PBE optimized geometry; ΔH_f (0 K) = 0.318 eV/f.u.
1.0
-1.130 3.091 -1.592
-3.439 -0.748 0.989
0.836 2.951 5.138
Fe Cu As
3 1 2
Cartesian
-0.299 2.484 0.839
-1.150 1.638 3.998
0.000 0.000 0.000
-2.284 1.171 -0.301
0.034 3.659 2.884
-1.482 0.464 1.953